1.
Density functional theory data (PBE-GGA) for an optimized crystal structure of Na2MgZn5As6O24.

Cell and atoms, written as CIF:
```
data_Na2MgZn5As6O24
_chemical_formula_sum 'Na4 Mg2 Zn10 As12 O48'
_symmetry_space_group_name_H-M 'C 1 2 1'
_symmetry_Int_Tables_number 5
_cell_length_a 12.2356
_cell_length_b 12.3751
_cell_length_c 6.9003
_cell_angle_alpha 90.00
_cell_angle_beta 113.05
_cell_angle_gamma 90.00
loop_
_symmetry_equiv_pos_as_xyz
'x,y,z'
'-x,y,-z'
'x+1/2,y+1/2,z'
'-x+1/2,y+1/2,-z'
loop_
_atom_site_label
_atom_site_fract_x
_atom_site_fract_y
_atom_site_fract_z
_atom_site_occupancy
Na1 0.0000 0.0000 0.0000 1
Na2 0.0000 0.0188 0.5000 1
Mg1 0.0000 0.7266 0.5000 1
Zn1 0.0000 0.2929 0.0000 1
Zn2 0.2092 0.1677 0.8722 1
Zn3 0.2086 0.8507 0.3718 1
As1 0.0000 0.3207 0.5000 1
As2 0.0000 0.6986 0.0000 1
As3 0.2242 0.1230 0.3650 1
As4 0.2246 0.8952 0.8645 1
O1 0.0350 0.2421 0.7254 1
O2 0.0347 0.7759 0.2259 1
O3 0.1178 0.4042 0.5166 1
O4 0.1177 0.6148 0.0164 1
O5 0.1271 0.4147 0.0843 1
O6 0.1284 0.6046 0.5861 1
O7 0.1466 0.0050 0.3458 1
O8 0.1473 0.0135 0.8456 1
O9 0.1515 0.1864 0.1231 1
O10 0.1508 0.8320 0.6236 1
O11 0.2106 0.1988 0.5662 1
O12 0.2110 0.8201 0.0662 1
```


2.
Density functional theory data (PBE-GGA) for an optimized crystal structure of Mg6Ni16As7.

Cell and atoms, written as CIF:
```
data_Mg6Ni16As7
_chemical_formula_sum 'Mg24 Ni64 As28'
_symmetry_space_group_name_H-M 'F m -3 m'
_symmetry_Int_Tables_number 225
_symmetry_space_group_name_Hall '-F 4 2 3'
_cell_length_a 11.5420
_cell_length_b 11.5420
_cell_length_c 11.5420
_cell_angle_alpha 90.00
_cell_angle_beta 90.00
_cell_angle_gamma 90.00
loop_
_atom_site_label
_atom_site_fract_x
_atom_site_fract_y
_atom_site_fract_z
_atom_site_occupancy
Mg1 0.0000 0.0000 0.1991 1
Ni1 0.1181 0.1181 0.3819 1
Ni2 0.1672 0.1672 0.1672 1
As1 0.0000 0.0000 0.5000 1
As2 0.0000 0.2500 0.2500 1
```


3.
Density functional theory data (PBE-GGA) for an optimized crystal structure of MgAsO11.

Cell and atoms, written as CIF:
```
data_MgAsO11
_chemical_formula_sum 'Mg8 As8 O88'
_symmetry_space_group_name_H-M 'C 1 2/c 1'
_symmetry_Int_Tables_number 15
_cell_length_a 5.5878
_cell_length_b 24.2410
_cell_length_c 10.9511
_cell_angle_alpha 90.00
_cell_angle_beta 100.16
_cell_angle_gamma 90.00
loop_
_symmetry_equiv_pos_as_xyz
'x,y,z'
'-x,-y,-z'
'-x,y,-z+1/2'
'x,-y,z+1/2'
'x+1/2,y+1/2,z'
'-x+1/2,-y+1/2,-z'
'-x+1/2,y+1/2,-z+1/2'
'x+1/2,-y+1/2,z+1/2'
loop_
_atom_site_label
_atom_site_fract_x
_atom_site_fract_y
_atom_site_fract_z
_atom_site_occupancy
Mg1 0.0000 0.0385 0.2500 1
Mg2 0.0000 0.1779 0.7500 1
As1 0.1246 0.3780 0.4073 1
O1 0.0591 0.2426 0.3633 1
O2 0.0923 0.3821 0.5916 1
O3 0.1312 0.2193 0.1116 1
O4 0.1344 0.0594 0.0738 1
O5 0.1418 0.1654 0.5954 1
O6 0.1555 0.2572 0.8476 1
O7 0.1627 0.3605 0.1510 1
O8 0.1879 0.0555 0.6562 1
O9 0.2318 0.4766 0.2465 1
O10 0.2340 0.1025 0.3176 1
O11 0.2477 0.4696 0.9891 1
```


4.
# Mg17As6O32 | the Materials Project | PBE-GGA | optimized geometry
# E above lowest polymorph   0 meV per atom
data_Mg17As6O32
_chemical_formula_sum 'Mg34 As12 O64'
_symmetry_space_group_name_H-M 'P 1 21/c 1'
_symmetry_Int_Tables_number 14
_cell_length_a 9.9608
_cell_length_b 12.1888
_cell_length_c 10.6094
_cell_angle_alpha 90.00
_cell_angle_beta 110.75
_cell_angle_gamma 90.00
loop_
_symmetry_equiv_pos_as_xyz
'x,y,z'
'-x,-y,-z'
'-x,y+1/2,-z+1/2'
'x,-y+1/2,z+1/2'
loop_
_atom_site_label
_atom_site_fract_x
_atom_site_fract_y
_atom_site_fract_z
_atom_site_occupancy
Mg1 0.0000 0.0000 0.0000 1
Mg2 0.0011 0.2417 0.5017 1
Mg3 0.0017 0.1210 0.2601 1
Mg4 0.2549 0.6206 0.0053 1
Mg5 0.2557 0.0000 0.7458 1
Mg6 0.2649 0.1248 0.0054 1
Mg7 0.2655 0.2483 0.2562 1
Mg8 0.2656 0.5006 0.7529 1
Mg9 0.2685 0.7495 0.2561 1
As1 0.0006 0.6261 0.7489 1
As2 0.4222 0.1253 0.5570 1
As3 0.4233 0.6248 0.5567 1
O1 0.1152 0.2372 0.8672 1
O2 0.1146 0.6271 0.6384 1
O3 0.1160 0.0164 0.8634 1
O4 0.1159 0.7349 0.8605 1
O5 0.1210 0.1324 0.6558 1
O6 0.1206 0.5193 0.8509 1
O7 0.1343 0.1242 0.1282 1
O8 0.1422 0.6329 0.1364 1
O9 0.3664 0.0099 0.6155 1
O10 0.3665 0.1246 0.3848 1
O11 0.3674 0.2413 0.6161 1
O12 0.3671 0.5093 0.6161 1
O13 0.3681 0.6226 0.3848 1
O14 0.3682 0.7410 0.6145 1
O15 0.3878 0.1247 0.8794 1
O16 0.3893 0.6250 0.8804 1


5.
# Mg17As6O32 | the Materials Project | PBE-GGA | optimized geometry
# E above lowest polymorph   4 meV per atom
data_Mg17As6O32
_chemical_formula_sum 'Mg17 As6 O32'
_symmetry_space_group_name_H-M 'P 1 2/m 1'
_symmetry_Int_Tables_number 10
_cell_length_a 9.9555
_cell_length_b 6.1244
_cell_length_c 10.5272
_cell_angle_alpha 90.00
_cell_angle_beta 110.74
_cell_angle_gamma 90.00
loop_
_symmetry_equiv_pos_as_xyz
'x,y,z'
'-x,-y,-z'
'-x,y,-z'
'x,-y,z'
loop_
_atom_site_label
_atom_site_fract_x
_atom_site_fract_y
_atom_site_fract_z
_atom_site_occupancy
Mg1 0.0000 0.0000 0.0000 1
Mg2 0.0007 0.2595 0.7391 1
Mg3 0.2553 0.2589 0.5043 1
Mg4 0.2639 0.0000 0.7536 1
Mg5 0.2654 0.2469 0.0047 1
Mg6 0.2695 0.5000 0.2577 1
As1 0.0000 0.0000 0.5000 1
As2 0.0000 0.5000 0.0000 1
As3 0.4221 0.5000 0.8073 1
As4 0.4244 0.0000 0.3106 1
O1 0.1162 0.0000 0.3906 1
O2 0.1161 0.2823 0.1098 1
O3 0.1162 0.5000 0.8918 1
O4 0.1197 0.2083 0.6146 1
O5 0.1332 0.0000 0.8796 1
O6 0.1421 0.5000 0.3683 1
O7 0.3674 0.0000 0.1351 1
O8 0.3678 0.2306 0.3672 1
O9 0.3681 0.2686 0.8671 1
O10 0.3696 0.5000 0.6347 1
O11 0.3872 0.0000 0.6284 1
O12 0.3882 0.5000 0.1282 1


6.
Density functional theory data (PBE-GGA) for an optimized crystal structure of MgAsO8.

Cell and atoms, written as CIF:
```
data_MgAsO8
_chemical_formula_sum 'Mg8 As8 O64'
_symmetry_space_group_name_H-M 'P b c a'
_symmetry_Int_Tables_number 61
_cell_length_a 6.9653
_cell_length_b 10.5528
_cell_length_c 16.9123
_cell_angle_alpha 90.00
_cell_angle_beta 90.00
_cell_angle_gamma 90.00
loop_
_symmetry_equiv_pos_as_xyz
'x,y,z'
'-x,-y,-z'
'-x+1/2,-y,z+1/2'
'x+1/2,y,-z+1/2'
'x+1/2,-y+1/2,-z'
'-x+1/2,y+1/2,z'
'-x,y+1/2,-z+1/2'
'x,-y+1/2,z+1/2'
loop_
_atom_site_label
_atom_site_fract_x
_atom_site_fract_y
_atom_site_fract_z
_atom_site_occupancy
Mg1 0.1377 0.0070 0.1416 1
As1 0.0247 0.6985 0.0872 1
O1 0.0022 0.2358 0.6788 1
O2 0.0415 0.6612 0.6367 1
O3 0.0551 0.6424 0.3170 1
O4 0.0763 0.0175 0.0160 1
O5 0.1140 0.5820 0.1473 1
O6 0.1189 0.6567 0.7966 1
O7 0.1455 0.6893 0.9970 1
O8 0.2125 0.1533 0.4324 1
```


7.
Density functional theory data (PBE-GGA) for an optimized crystal structure of Mg2As2O9.

Cell and atoms, written as CIF:
```
data_Mg2As2O9
_chemical_formula_sum 'Mg8 As8 O36'
_symmetry_space_group_name_H-M 'P 1 21/c 1'
_symmetry_Int_Tables_number 14
_cell_length_a 6.5268
_cell_length_b 14.5508
_cell_length_c 9.7144
_cell_angle_alpha 90.00
_cell_angle_beta 127.13
_cell_angle_gamma 90.00
loop_
_symmetry_equiv_pos_as_xyz
'x,y,z'
'-x,-y,-z'
'-x,y+1/2,-z+1/2'
'x,-y+1/2,z+1/2'
loop_
_atom_site_label
_atom_site_fract_x
_atom_site_fract_y
_atom_site_fract_z
_atom_site_occupancy
Mg1 0.1868 0.1233 0.4169 1
Mg2 0.3026 0.7434 0.8533 1
As1 0.1118 0.1783 0.0539 1
As2 0.3890 0.5787 0.1553 1
O1 0.0023 0.5085 0.2522 1
O2 0.0298 0.2022 0.1877 1
O3 0.1439 0.6553 0.6496 1
O4 0.1962 0.6437 0.1817 1
O5 0.2864 0.0292 0.5983 1
O6 0.3019 0.0748 0.1358 1
O7 0.3177 0.2391 0.5747 1
O8 0.4515 0.6352 0.0294 1
O9 0.4964 0.1629 0.9340 1
```


| no. | DFT total energy (eV/atom) |
| --- | --- |
| 1 | -5.40 |
| 2 | -5.00 |
| 3 | -5.02 |
| 4 | -6.12 |
| 5 | -6.11 |
| 6 | -5.15 |
| 7 | -5.54 |